## Tl4CdI6 (PBE)

Data for a relaxed structure of Tl4CdI6.

Computed properties:
* SG: P4/mnc, No. 128
* energy relative to the elements: -0.848 eV/atom
* MP2020-corrected energy: -57.70 eV for the cell shown

abc: 9.405 9.405 9.965
angles: 90.00 90.00 90.00
Element x y z (fractional)
Tl 0.152 0.348 0.250
Tl 0.152 0.348 0.750
Tl 0.348 0.848 0.250
Tl 0.348 0.848 0.750
Tl 0.652 0.152 0.250
Tl 0.652 0.152 0.750
Tl 0.848 0.652 0.250
Tl 0.848 0.652 0.750
Cd 0.000 0.000 0.000
Cd 0.500 0.500 0.500
I 0.000 0.000 0.290
I 0.000 0.000 0.710
I 0.136 0.693 0.000
I 0.193 0.636 0.500
I 0.307 0.136 0.000
I 0.364 0.193 0.500
I 0.500 0.500 0.210
I 0.500 0.500 0.790
I 0.636 0.807 0.500
I 0.693 0.864 0.000
I 0.807 0.364 0.500
I 0.864 0.307 0.000